Computed, not measured: an optimized crystal structure of ScTe at the PBE-GGA level of DFT.

Cell and atoms, written as POSCAR:
```
ScTe
1.0
3.5648 1.9903 -0.7122
-3.5921 1.6952 -1.1831
-0.5352 3.1610 6.1543
Sc Te
2 2
Direct
0.0000 0.0000 0.0000
0.0000 0.0000 0.5000
0.3333 0.6667 0.2500
0.6667 0.3333 0.7500
```

raw total energy = -23.662 eV/cell
E_form = -1389 meV/atom

Computed, not measured: an optimized crystal structure of Sc3Te at the PBE-GGA level of DFT.

Cell and atoms, written as POSCAR:
```
Sc3Te
1.0
3.1808 -5.5094 0.0000
3.1808 5.5094 0.0000
0.0000 0.0000 5.1044
Sc Te
6 2
Direct
0.1671 0.3343 0.2500
0.6657 0.8329 0.2500
0.1671 0.8329 0.2500
0.8329 0.6657 0.7500
0.3343 0.1671 0.7500
0.8329 0.1671 0.7500
0.3333 0.6667 0.7500
0.6667 0.3333 0.2500
```

raw total energy = -47.665 eV/cell
E_form = -528 meV/atom
total moment = 0.1 μB per formula unit

Computed, not measured: an optimized crystal structure of ScTlTe2 at the PBE-GGA level of DFT.

Cell and atoms, written as POSCAR:
```
ScTlTe2
1.0
-0.5651 -4.1163 -0.9855
-3.1018 -1.1418 -2.7036
3.9363 -0.9642 -7.4811
Sc Tl Te
1 1 2
Direct
0.0000 0.0000 0.0000
0.5000 0.5000 0.5000
0.7341 0.7341 0.7977
0.2659 0.2659 0.2023
```

raw total energy = -18.679 eV/cell
E_form = -1135 meV/atom

Computed, not measured: an optimized crystal structure of ThSc3 at the PBE-GGA level of DFT.

Cell and atoms, written as POSCAR:
```
ThSc3
1.0
-3.0582 0.3313 4.8318
-3.4912 4.5059 -0.5630
0.8862 -4.4408 -3.5074
Th Sc
1 3
Direct
0.0000 0.0000 0.0000
0.7500 0.2500 0.5000
0.2500 0.7500 0.5000
0.5000 0.5000 0.0000
```

raw total energy = -26.266 eV/cell
E_form = 36 meV/atom

Computed, not measured: an optimized crystal structure of Sc3Tl at the PBE-GGA level of DFT.

Cell and atoms, written as POSCAR:
```
Sc3Tl
1.0
3.2153 -5.5691 0.0000
3.2153 5.5691 0.0000
0.0000 0.0000 5.2868
Sc Tl
6 2
Direct
0.1682 0.3363 0.2500
0.6637 0.8318 0.2500
0.1682 0.8318 0.2500
0.8318 0.6637 0.7500
0.3363 0.1682 0.7500
0.8318 0.1682 0.7500
0.3333 0.6667 0.7500
0.6667 0.3333 0.2500
```

raw total energy = -44.387 eV/cell
E_form = -208 meV/atom

Computed, not measured: an optimized crystal structure of Sc2TlZn at the PBE-GGA level of DFT.

Cell and atoms, written as POSCAR:
```
Sc2TlZn
1.0
0.0000 3.4911 3.4911
3.4911 0.0000 3.4911
3.4911 3.4911 0.0000
Sc Tl Zn
2 1 1
Direct
0.2500 0.2500 0.2500
0.7500 0.7500 0.7500
0.5000 0.5000 0.5000
0.0000 0.0000 0.0000
```

raw total energy = -17.518 eV/cell
E_form = -308 meV/atom

Computed, not measured: an optimized crystal structure of YScZn2 at the PBE-GGA level of DFT.

Cell and atoms, written as POSCAR:
```
YScZn2
1.0
0.0000 3.4794 3.4794
3.4794 0.0000 3.4794
3.4794 3.4794 0.0000
Y Sc Zn
1 1 2
Direct
0.0000 0.0000 0.0000
0.5000 0.5000 0.5000
0.2500 0.2500 0.2500
0.7500 0.7500 0.7500
```

raw total energy = -16.760 eV/cell
E_form = -360 meV/atom

Computed, not measured: an optimized crystal structure of ScZn12 at the PBE-GGA level of DFT.

Cell and atoms, written as POSCAR:
```
ScZn12
1.0
2.4371 0.6988 -6.2631
2.4198 -2.3489 5.8550
-4.4923 -4.8931 -1.2371
Sc Zn
1 12
Direct
0.0000 0.0000 0.0000
0.0000 0.5000 0.0000
0.5000 0.5000 0.5000
0.0000 0.0000 0.5000
0.5000 0.0000 0.0000
0.3519 0.0000 0.3519
0.0000 0.6481 0.6481
0.0000 0.3519 0.3519
0.6481 0.0000 0.6481
0.2881 0.5000 0.7881
0.5000 0.7119 0.2119
0.5000 0.2881 0.7881
0.7119 0.5000 0.2119
```

raw total energy = -23.225 eV/cell
E_form = -137 meV/atom

Computed, not measured: an optimized crystal structure of ScZn6 at the PBE-GGA level of DFT.

Cell and atoms, written as POSCAR:
```
ScZn6
1.0
-6.8818 6.9205 7.0088
6.8818 -6.9205 7.0088
6.8818 6.9205 -7.0088
Sc Zn
12 72
Direct
0.1920 0.8939 0.7019
0.8080 0.1061 0.2981
0.1920 0.4902 0.2981
0.8080 0.5098 0.7019
0.6993 0.1894 0.8887
0.3007 0.8106 0.1113
0.3007 0.1894 0.4901
0.6993 0.8106 0.5099
0.8908 0.6982 0.1926
0.1092 0.3018 0.8074
0.4944 0.3018 0.1926
0.5056 0.6982 0.8074
0.1894 0.5000 0.6894
0.8106 0.5000 0.3106
0.6922 0.1922 0.5000
0.3078 0.8078 0.5000
0.5000 0.6913 0.1913
0.5000 0.3087 0.8087
0.4625 0.1418 0.9186
0.7768 0.8582 0.3208
0.2232 0.5440 0.0814
0.5375 0.4560 0.6792
0.9183 0.4581 0.1416
0.3165 0.7766 0.8584
0.0817 0.2234 0.5399
0.6835 0.5419 0.4601
0.1407 0.9165 0.4576
0.8593 0.3168 0.7758
0.5410 0.0835 0.2242
0.4590 0.6832 0.5424
0.5375 0.8582 0.0814
0.2232 0.1418 0.6792
0.7768 0.4560 0.9186
0.4625 0.5440 0.3208
0.0817 0.5419 0.8584
0.6835 0.2234 0.1416
0.9183 0.7766 0.4601
0.3165 0.4581 0.5399
0.8593 0.0835 0.5424
0.1407 0.6832 0.2242
0.4590 0.9165 0.7758
0.5410 0.3168 0.4576
0.2567 0.1631 0.9065
0.7433 0.8369 0.0935
0.2567 0.3502 0.0935
0.7433 0.6498 0.9065
0.9061 0.2395 0.1456
0.0939 0.7605 0.8544
0.0939 0.2395 0.3335
0.9061 0.7605 0.6665
0.1443 0.9092 0.2351
0.8557 0.0908 0.7649
0.3259 0.0908 0.2351
0.6741 0.9092 0.7649
0.3244 0.0013 0.0011
0.9998 0.9987 0.3231
0.0002 0.3233 0.9989
0.6756 0.6767 0.6769
0.6756 0.9987 0.9989
0.0002 0.0013 0.6769
0.9998 0.6767 0.0011
0.3244 0.3233 0.3231
0.4042 0.0571 0.6529
0.5958 0.9429 0.3471
0.4042 0.7513 0.3471
0.5958 0.2487 0.6529
0.6541 0.4044 0.0585
0.3459 0.5956 0.9415
0.3459 0.4044 0.7503
0.6541 0.5956 0.2497
0.0581 0.6529 0.4052
0.9419 0.3471 0.5948
0.7523 0.3471 0.4052
0.2477 0.6529 0.5948
0.4063 0.0000 0.4063
0.5937 0.0000 0.5937
0.4100 0.4100 0.0000
0.5900 0.5900 0.0000
0.0000 0.4051 0.4051
0.0000 0.5949 0.5949
0.0844 0.9940 0.9096
0.9156 0.0060 0.0904
0.0844 0.1747 0.0904
0.9156 0.8253 0.9096
```

raw total energy = -186.365 eV/cell
E_form = -234 meV/atom
total moment = 0.0 μB per formula unit

Computed, not measured: an optimized crystal structure of Sc3Zn17 at the PBE-GGA level of DFT.

Cell and atoms, written as POSCAR:
```
Sc3Zn17
1.0
-6.9005 6.9005 6.9005
6.9005 -6.9005 6.9005
6.9005 6.9005 -6.9005
Sc Zn
12 68
Direct
0.6999 0.5117 0.8118
0.1882 0.3001 0.4883
0.4883 0.1882 0.3001
0.8881 0.1882 0.6999
0.1882 0.6999 0.8881
0.6999 0.8881 0.1882
0.1119 0.8118 0.3001
0.3001 0.1119 0.8118
0.8118 0.3001 0.1119
0.5117 0.8118 0.6999
0.3001 0.4883 0.1882
0.8118 0.6999 0.5117
0.7762 0.9156 0.4603
0.4044 0.0000 0.4044
0.7495 0.4039 0.3456
0.4603 0.5447 0.6841
0.0000 0.4044 0.4044
0.1394 0.4553 0.9156
0.2309 0.9097 0.1407
0.0000 0.5956 0.5956
0.3154 0.3154 0.3154
0.3159 0.5397 0.4553
0.6841 0.4603 0.5447
0.9417 0.5961 0.3456
0.8593 0.7691 0.0903
0.8606 0.7762 0.3159
0.8099 0.3099 0.5000
0.6841 0.1394 0.2238
0.9156 0.1394 0.4553
0.5000 0.1901 0.6901
0.0000 0.0000 0.3154
0.4044 0.4044 0.0000
0.0000 0.3154 0.0000
0.1407 0.2309 0.9097
0.5961 0.6544 0.2505
0.3099 0.5000 0.8099
0.9097 0.6788 0.7691
0.4039 0.6544 0.0583
0.2238 0.0844 0.5397
0.0844 0.8606 0.5447
0.0903 0.8593 0.7691
0.6788 0.7691 0.9097
0.5447 0.0844 0.8606
0.5956 0.0000 0.5956
0.3159 0.8606 0.7762
0.2238 0.6841 0.1394
0.2505 0.5961 0.6544
0.1901 0.6901 0.5000
0.0000 0.6846 0.0000
0.5961 0.3456 0.9417
0.0903 0.3212 0.2309
0.5397 0.2238 0.0844
0.4603 0.7762 0.9156
0.0583 0.4039 0.6544
0.6846 0.0000 0.0000
0.6846 0.6846 0.6846
0.8606 0.5447 0.0844
0.4553 0.9156 0.1394
0.3154 0.0000 0.0000
0.3456 0.9417 0.5961
0.5397 0.4553 0.3159
0.6901 0.5000 0.1901
0.5956 0.5956 0.0000
0.6544 0.2505 0.5961
0.6544 0.0583 0.4039
0.3456 0.7495 0.4039
0.5000 0.8099 0.3099
0.7691 0.9097 0.6788
0.9156 0.4603 0.7762
0.2309 0.0903 0.3212
0.0844 0.5397 0.2238
0.9097 0.1407 0.2309
0.1394 0.2238 0.6841
0.7762 0.3159 0.8606
0.3212 0.2309 0.0903
0.4553 0.3159 0.5397
0.4039 0.3456 0.7495
0.7691 0.0903 0.8593
0.0000 0.0000 0.6846
0.5447 0.6841 0.4603
```

raw total energy = -180.637 eV/cell
E_form = -237 meV/atom
total moment = 0.1 μB per formula unit

Computed, not measured: an optimized crystal structure of ScZn3 at the PBE-GGA level of DFT.

Cell and atoms, written as POSCAR:
```
ScZn3
1.0
2.9537 -5.1160 0.0000
2.9537 5.1160 0.0000
0.0000 0.0000 4.3941
Sc Zn
2 6
Direct
0.3333 0.6667 0.7500
0.6667 0.3333 0.2500
0.8408 0.6817 0.7500
0.3183 0.1592 0.7500
0.1592 0.3183 0.2500
0.6817 0.8408 0.2500
0.1592 0.8408 0.2500
0.8408 0.1592 0.7500
```

raw total energy = -22.728 eV/cell
E_form = -313 meV/atom

Computed, not measured: an optimized crystal structure of ScZn3 at the PBE-GGA level of DFT.

Cell and atoms, written as POSCAR:
```
ScZn3
1.0
-3.0638 -0.1909 3.3124
-4.1731 1.5826 -0.6901
-3.4792 -2.8632 -0.3045
Sc Zn
1 3
Direct
0.0000 0.0000 0.0000
0.2500 0.2500 0.2500
0.7500 0.7500 0.7500
0.5000 0.5000 0.5000
```

raw total energy = -11.294 eV/cell
E_form = -295 meV/atom

Computed, not measured: an optimized crystal structure of ScZn at the PBE-GGA level of DFT.

Cell and atoms, written as POSCAR:
```
ScZn
1.0
3.3565 0.0000 0.0000
0.0000 3.3565 0.0000
0.0000 0.0000 3.3565
Sc Zn
1 1
Direct
0.0000 0.0000 0.0000
0.5000 0.5000 0.5000
```

raw total energy = -8.355 eV/cell
E_form = -382 meV/atom

Computed, not measured: an optimized crystal structure of ZrSc2 at the PBE-GGA level of DFT.

Cell and atoms, written as POSCAR:
```
ZrSc2
1.0
-1.9475 -5.8333 -0.1037
0.8529 -5.8779 1.5982
-3.9673 -0.5740 6.5131
Zr Sc
2 4
Direct
0.5261 0.5261 0.1929
0.4739 0.4739 0.8071
0.1911 0.1911 0.8631
0.8089 0.8089 0.1369
0.1332 0.1332 0.4738
0.8668 0.8668 0.5262
```

raw total energy = -42.557 eV/cell
E_form = -22 meV/atom

Computed, not measured: an optimized crystal structure of ZrSc at the PBE-GGA level of DFT.

Cell and atoms, written as POSCAR:
```
ZrSc
1.0
-3.0944 0.0054 -1.0575
2.1414 -2.1487 -1.2210
-1.2683 -3.3631 3.6941
Zr Sc
1 1
Direct
0.0000 0.0000 0.0000
0.3333 0.6667 0.5000
```

raw total energy = -14.884 eV/cell
E_form = -2 meV/atom

Computed, not measured: an optimized crystal structure of Se at the PBE-GGA level of DFT.

Cell and atoms, written as POSCAR:
```
Se
1.0
2.4045 1.2846 -1.2180
0.8242 -1.5924 2.3875
-1.2874 -1.8023 -2.0024
Se
1
Direct
0.0000 0.0000 0.0000
```

excess energy over the best structure of this formula in the dataset = 0.5956 eV/atom
raw total energy = -2.900 eV/cell
E_form = 596 meV/atom
total moment = 0.0 μB per formula unit

Computed, not measured: an optimized crystal structure of Se at the PBE-GGA level of DFT.

Cell and atoms, written as POSCAR:
```
Se
1.0
8.4859 0.0000 0.0000
0.0000 10.2363 0.0000
0.0000 1.2337 13.5844
Se
32
Direct
0.6796 0.4239 0.4146
0.1796 0.5761 0.0854
0.3204 0.5761 0.5854
0.8204 0.4239 0.9146
0.7660 0.2465 0.5242
0.2660 0.7535 0.9758
0.2340 0.7535 0.4758
0.7340 0.2465 0.0242
0.5977 0.2326 0.6635
0.0977 0.7674 0.8365
0.4023 0.7674 0.3365
0.9023 0.2326 0.1635
0.4147 0.0628 0.6449
0.9147 0.9372 0.8551
0.5853 0.9372 0.3551
0.0853 0.0628 0.1449
0.1765 0.1613 0.5867
0.6765 0.8387 0.9133
0.8235 0.8387 0.4133
0.3235 0.1613 0.0867
0.1668 0.1530 0.4135
0.6668 0.8470 0.0865
0.8332 0.8470 0.5865
0.3332 0.1530 0.9135
0.2527 0.3585 0.3401
0.7527 0.6415 0.1599
0.7473 0.6415 0.6599
0.2473 0.3585 0.8401
0.5202 0.3369 0.2944
0.0202 0.6631 0.2056
0.4798 0.6631 0.7056
0.9798 0.3369 0.7944
```

excess energy over the best structure of this formula in the dataset = 0.0057 eV/atom
raw total energy = -111.686 eV/cell
E_form = 6 meV/atom

Computed, not measured: an optimized crystal structure of Se at the PBE-GGA level of DFT.

Cell and atoms, written as POSCAR:
```
Se
1.0
4.7292 0.0000 -0.1433
0.0000 8.0561 0.0000
0.0801 0.0000 2.7433
Se
4
Direct
0.9313 0.5149 0.7620
0.0687 0.0149 0.2380
0.5692 0.7151 0.7628
0.4308 0.2151 0.2372
```

excess energy over the best structure of this formula in the dataset = 0.1562 eV/atom
raw total energy = -13.359 eV/cell
E_form = 156 meV/atom